No. 1
A plane-wave DFT calculation with meta-GGA r2SCAN was carried out for crystalline CeSi at its relaxed geometry.

Calculated values
ΔH_f (0 K), meV/atom: -749
ρ, g cm⁻³: 5.71
Space-group type: Pnma (62)

abc: 8.271 3.964 5.965
angles: 90.00 90.00 90.00
Sites, in units of the cell vectors:
Ce: 0.180 0.250 0.115
Ce: 0.320 0.750 0.615
Ce: 0.680 0.250 0.385
Ce: 0.820 0.750 0.885
Si: 0.033 0.250 0.615
Si: 0.467 0.750 0.115
Si: 0.533 0.250 0.885
Si: 0.967 0.750 0.385



No. 2
A plane-wave DFT calculation with meta-GGA r2SCAN was carried out for crystalline Nd2NiO4 at its relaxed geometry.

Calculated values
ΔH_f (0 K), meV/atom: -2896
ρ, g cm⁻³: 7.19
Space-group type: Immm (71)

abc: 6.748 6.748 6.748
angles: 146.83 145.47 48.64
Sites, in units of the cell vectors:
Nd: 0.149 0.149 0.000
Nd: 0.851 0.851 0.000
Ni: 0.500 0.500 0.000
O: 0.000 0.500 0.500
O: 0.255 0.755 0.500
O: 0.500 0.000 0.500
O: 0.745 0.245 0.500